Entry 1:
Below is a relaxed structure of NpBi, with properties calculated at the PBE level.

Results
Space group   Fm-3m, No. 225
Energy   -8.330 eV/atom
Formation energy   0.09 eV per atom

a = 6.3700 Å, b = 6.3700 Å, c = 6.3700 Å
α = 90.00°, β = 90.00°, γ = 90.00°
Closest atoms and distances in Å follow each position.
Positions (direct):
1 Np 0.0000 0.0000 0.0000  6 Bi 3.18
2 Np 0.0000 0.5000 0.5000  6 Bi 3.18
3 Np 0.5000 0.0000 0.5000  6 Bi 3.18
4 Np 0.5000 0.5000 0.0000  6 Bi 3.18
5 Bi 0.0000 0.0000 0.5000  6 Np 3.18
6 Bi 0.0000 0.5000 0.0000  6 Np 3.18
7 Bi 0.5000 0.0000 0.0000  6 Np 3.18
8 Bi 0.5000 0.5000 0.5000  6 Np 3.18


Entry 2:
Below is a relaxed structure of LiNdS2, with properties calculated at the PBE level.

Results
Space group   R-3m, No. 166
Energy   -5.512 eV/atom
Formation energy   -2.03 eV per atom

a = 4.0576 Å, b = 4.0576 Å, c = 18.6894 Å
α = 90.00°, β = 90.00°, γ = 120.00°
Closest atoms and distances in Å follow each position.
Positions (direct):
1 Li 0.0000 0.0000 0.0000  6 S 2.79
2 Li 0.3333 0.6667 0.6667  6 S 2.79
3 Li 0.6667 0.3333 0.3333  6 S 2.79
4 Nd 0.0000 0.0000 0.5000  6 S 2.84
5 Nd 0.3333 0.6667 0.1667  6 S 2.84
6 Nd 0.6667 0.3333 0.8333  6 S 2.84
7 S 0.0000 0.0000 0.2522  3 Li 2.79, 3 Nd 2.84
8 S 0.0000 0.0000 0.7478  3 Li 2.79, 3 Nd 2.84
9 S 0.3333 0.6667 0.4145  3 Li 2.79, 3 Nd 2.84
10 S 0.3333 0.6667 0.9189  3 Li 2.79, 3 Nd 2.84
11 S 0.6667 0.3333 0.0811  3 Li 2.79, 3 Nd 2.84
12 S 0.6667 0.3333 0.5855  3 Li 2.79, 3 Nd 2.84


Entry 3:
Below is a relaxed structure of Li5CrS4, with properties calculated at the PBE level.

Results
Space group   Immm, No. 71
Energy   -4.678 eV/atom
Formation energy   -1.31 eV per atom

a = 7.6021 Å, b = 7.6021 Å, c = 7.6021 Å
α = 151.55°, β = 127.11°, γ = 61.15°
Closest atoms and distances in Å follow each position.
Positions (direct):
1 Li 0.0000 0.0000 0.0000  4 S 2.55
2 Li 0.1075 0.3225 0.7850  4 S 2.33-2.53
3 Li 0.4625 0.6775 0.7850  4 S 2.33-2.53
4 Li 0.5375 0.3225 0.2150  4 S 2.33-2.53
5 Li 0.8925 0.6775 0.2150  4 S 2.33-2.53
6 Cr 0.5000 0.0000 0.5000  6 S 2.49-2.59
7 S 0.2572 0.5000 0.7572  4 Li 2.33-2.55, 2 Cr 2.49
8 S 0.3020 0.8020 0.5000  6 Li 2.38-2.53, 1 Cr 2.59
9 S 0.6980 0.1980 0.5000  6 Li 2.38-2.53, 1 Cr 2.59
10 S 0.7428 0.5000 0.2428  4 Li 2.33-2.55, 2 Cr 2.49


Entry 4:
Below is a relaxed structure of Ca2SnS4, with properties calculated at the PBE level.

Results
Offset from the most stable computed form   0.388 eV/atom
Space group   P6_3mc, No. 186
Energy   -4.513 eV/atom
Formation energy   -1.29 eV per atom

a = 7.5304 Å, b = 7.5304 Å, c = 7.8646 Å
α = 90.00°, β = 90.00°, γ = 120.00°
Closest atoms and distances in Å follow each position.
Positions (direct):
1 Ca 0.0000 0.0000 0.0000  6 S 2.90-2.95
2 Ca 0.0000 0.0000 0.5000  6 S 2.90-2.95
3 Ca 0.3333 0.6667 0.4964  1 S 2.54
4 Ca 0.6667 0.3333 0.9964  1 S 2.54
5 Sn 0.3333 0.6667 0.1065  4 S 2.26-2.44
6 Sn 0.6667 0.3333 0.6065  4 S 2.26-2.44
7 S 0.1658 0.3316 0.2454  1 Sn 2.44
8 S 0.1658 0.8342 0.2454  1 Sn 2.44
9 S 0.3316 0.1658 0.7454  1 Sn 2.44
10 S 0.3333 0.6667 0.8193  1 Sn 2.26
11 S 0.6667 0.3333 0.3193  1 Sn 2.26
12 S 0.6684 0.8342 0.2454  1 Sn 2.44
13 S 0.8342 0.1658 0.7454  1 Sn 2.44
14 S 0.8342 0.6684 0.7454  1 Sn 2.44


Entry 5:
Below is a relaxed structure of ScTlO3, with properties calculated at the PBE level.

Results
Space group   Pnma, No. 62
Energy   -6.753 eV/atom
Formation energy   -2.46 eV per atom

a = 5.6815 Å, b = 8.1778 Å, c = 5.5182 Å
α = 90.00°, β = 90.00°, γ = 90.00°
Closest atoms and distances in Å follow each position.
Positions (direct):
1 Sc 0.0000 0.0000 0.0000  6 O 2.10-2.18
2 Sc 0.0000 0.5000 0.0000  6 O 2.10-2.18
3 Sc 0.5000 0.0000 0.5000  6 O 2.10-2.18
4 Sc 0.5000 0.5000 0.5000  6 O 2.10-2.18
5 Tl 0.0528 0.2500 0.4805  4 O 2.25-2.32
6 Tl 0.4472 0.7500 0.9805  4 O 2.25-2.32
7 Tl 0.5528 0.2500 0.0195  4 O 2.25-2.32
8 Tl 0.9472 0.7500 0.5195  4 O 2.25-2.32
9 O 0.0634 0.7500 0.1224  2 Sc 2.18, 2 Tl 2.29-2.32
10 O 0.1921 0.5659 0.6890  2 Sc 2.10-2.11, 1 Tl 2.25
11 O 0.1921 0.9341 0.6890  2 Sc 2.10-2.11, 1 Tl 2.25
12 O 0.3079 0.0659 0.1890  2 Sc 2.10-2.11, 1 Tl 2.25
13 O 0.3079 0.4341 0.1890  2 Sc 2.10-2.11, 1 Tl 2.25
14 O 0.4366 0.2500 0.6224  2 Sc 2.18, 2 Tl 2.29-2.32
15 O 0.5634 0.7500 0.3776  2 Sc 2.18, 2 Tl 2.29-2.32
16 O 0.6921 0.5659 0.8110  2 Sc 2.10-2.11, 1 Tl 2.25
17 O 0.6921 0.9341 0.8110  2 Sc 2.10-2.11, 1 Tl 2.25
18 O 0.8079 0.0659 0.3110  2 Sc 2.10-2.11, 1 Tl 2.25
19 O 0.8079 0.4341 0.3110  2 Sc 2.10-2.11, 1 Tl 2.25
20 O 0.9366 0.2500 0.8776  2 Sc 2.18, 2 Tl 2.29-2.32